Entry 1:
Ba4Cu3BrO6 | PBE | optimized geometry

Geometry as POSCAR:
```
Ba4Cu3BrO6
1.0
-3.999 3.999 3.999
3.999 -3.999 3.999
3.999 3.999 -3.999
Ba Cu Br O
4 3 1 6
Direct
0.000 0.000 0.500
0.000 0.500 0.000
0.500 0.000 0.000
0.500 0.500 0.500
0.000 0.500 0.500
0.500 0.000 0.500
0.500 0.500 0.000
0.000 0.000 0.000
0.250 0.500 0.750
0.250 0.750 0.500
0.500 0.250 0.750
0.500 0.750 0.250
0.750 0.250 0.500
0.750 0.500 0.250
```

Computed properties:
Corrected total energy (MP2020 scheme) (eV/atom): -5.647
M_tot (μB/f.u.): 0.01
Space group: Im-3m (229)


Entry 2:
Mg2Sn | PBE | optimized geometry

Geometry as POSCAR:
```
Mg2Sn
1.0
11.620 0.000 0.000
0.000 3.315 0.000
-2.430 0.000 7.403
Mg Sn
8 4
Direct
0.142 0.000 0.025
0.186 0.000 0.634
0.314 0.500 0.366
0.358 0.500 0.975
0.642 0.500 0.025
0.686 0.500 0.634
0.814 0.000 0.366
0.858 0.000 0.975
0.036 0.500 0.299
0.464 0.000 0.701
0.536 0.000 0.299
0.964 0.500 0.701
```

Computed properties:
M_tot (μB/f.u.): 0.00
Space group: C2/m (12)


Entry 3:
La5Ti5O17 | PBE | optimized geometry

Geometry as POSCAR:
```
La5Ti5O17
1.0
7.890 0.000 0.000
0.000 5.566 0.000
-3.941 0.000 31.682
La Ti O
20 20 68
Direct
0.143 0.047 0.294
0.143 0.453 0.794
0.202 0.002 0.906
0.202 0.498 0.406
0.248 0.001 0.496
0.248 0.499 0.996
0.293 0.001 0.087
0.293 0.499 0.587
0.357 0.591 0.217
0.357 0.909 0.717
0.643 0.091 0.283
0.643 0.409 0.783
0.707 0.501 0.413
0.707 0.999 0.913
0.752 0.501 0.004
0.752 0.999 0.504
0.798 0.502 0.594
0.798 0.998 0.094
0.857 0.547 0.206
0.857 0.953 0.706
0.000 0.000 0.000
0.000 0.500 0.500
0.045 0.509 0.093
0.045 0.991 0.593
0.091 0.042 0.178
0.091 0.458 0.678
0.414 0.537 0.323
0.414 0.963 0.823
0.453 0.010 0.407
0.453 0.490 0.907
0.500 0.000 0.000
0.500 0.500 0.500
0.547 0.510 0.093
0.547 0.990 0.593
0.586 0.037 0.177
0.586 0.463 0.677
0.909 0.542 0.322
0.909 0.958 0.822
0.955 0.009 0.407
0.955 0.491 0.907
0.003 0.717 0.551
0.003 0.783 0.051
0.019 0.706 0.138
0.019 0.794 0.638
0.052 0.217 0.536
0.052 0.283 0.036
0.074 0.192 0.120
0.074 0.308 0.620
0.101 0.675 0.725
0.101 0.825 0.225
0.122 0.185 0.708
0.122 0.315 0.208
0.163 0.572 0.328
0.163 0.928 0.828
0.210 0.562 0.920
0.210 0.938 0.420
0.250 0.558 0.500
0.250 0.942 0.000
0.294 0.547 0.089
0.294 0.953 0.589
0.334 0.543 0.669
0.334 0.957 0.169
0.376 0.186 0.779
0.376 0.314 0.279
0.383 0.212 0.363
0.383 0.288 0.863
0.410 0.700 0.788
0.410 0.800 0.288
0.452 0.218 0.950
0.452 0.282 0.450
0.455 0.696 0.380
0.455 0.804 0.880
0.483 0.217 0.536
0.483 0.283 0.036
0.517 0.717 0.964
0.517 0.783 0.464
0.545 0.196 0.120
0.545 0.304 0.620
0.548 0.718 0.550
0.548 0.782 0.050
0.590 0.200 0.712
0.590 0.300 0.212
0.617 0.712 0.137
0.617 0.788 0.637
0.624 0.686 0.721
0.624 0.814 0.221
0.666 0.043 0.831
0.666 0.457 0.331
0.706 0.047 0.411
0.706 0.453 0.911
0.750 0.058 0.000
0.750 0.442 0.500
0.790 0.062 0.580
0.790 0.438 0.080
0.837 0.072 0.172
0.837 0.428 0.672
0.878 0.685 0.792
0.878 0.815 0.292
0.899 0.175 0.775
0.899 0.325 0.275
0.926 0.692 0.380
0.926 0.808 0.880
0.948 0.717 0.964
0.948 0.783 0.464
0.981 0.206 0.362
0.981 0.294 0.862
0.997 0.217 0.949
0.997 0.283 0.449
```

Computed properties:
Corrected total energy (MP2020 scheme) (eV/atom): -9.254
Space group: P2_1/c (14)


Entry 4:
Te4MoW3Se2S2 | PBE | optimized geometry

Geometry as POSCAR:
```
Te4MoW3Se2S2
1.0
3.400 0.000 0.000
-1.700 2.945 0.000
0.000 0.000 38.827
Te Mo W Se S
4 1 3 2 2
Direct
0.000 0.000 0.000
0.000 0.000 0.097
0.333 0.667 0.812
0.333 0.667 0.909
0.333 0.667 0.673
0.000 0.000 0.485
0.000 0.000 0.860
0.333 0.667 0.048
0.333 0.667 0.442
0.333 0.667 0.527
0.000 0.000 0.634
0.000 0.000 0.711
```

Computed properties:
Corrected total energy (MP2020 scheme) (eV/atom): -6.884
M_tot (μB/f.u.): 0.01
Space group: P3m1 (156)


Entry 5:
CeBr3 | PBE | optimized geometry

Geometry as POSCAR:
```
CeBr3
1.0
8.175 0.000 0.000
-4.088 7.080 0.000
0.000 0.000 4.357
Ce Br
2 6
Direct
0.333 0.667 0.250
0.667 0.333 0.750
0.089 0.390 0.750
0.301 0.911 0.750
0.390 0.301 0.250
0.610 0.699 0.750
0.699 0.089 0.250
0.911 0.610 0.250
```

Computed properties:
Corrected total energy (MP2020 scheme) (eV/atom): -4.974
Space group: P6_3/m (176)


Entry 6:
LuGaO3 | PBE | optimized geometry

Geometry as POSCAR:
```
LuGaO3
1.0
3.458 0.000 0.000
-1.729 2.995 0.000
0.000 0.000 11.705
Lu Ga O
2 2 6
Direct
0.000 0.000 0.000
0.000 0.000 0.500
0.333 0.667 0.250
0.667 0.333 0.750
0.000 0.000 0.250
0.000 0.000 0.750
0.333 0.667 0.086
0.333 0.667 0.414
0.667 0.333 0.586
0.667 0.333 0.914
```

Computed properties:
Corrected total energy (MP2020 scheme) (eV/atom): -7.677
M_tot (μB/f.u.): 0.00
Space group: P6_3/mmc (194)


| no. | formation energy from the elements (eV/f.u.) | uncorrected energy (eV per cell) |
| --- | --- | --- |
| 1 | -27.76 | -74.940 |
| 2 | -0.29 | -29.983 |
| 3 | -101.59 | -952.739 |
| 4 | -5.05 | -81.602 |
| 5 | -9.05 | -36.586 |
| 6 | -15.99 | -72.653 |